{
  "formula": "Ta2CrB2",
  "functional": "r2SCAN",
  "state": "relaxed",
  "formation_energy_ev_per_atom": -0.7045,
  "lattice": [[5.921, 0.000, 0.000], [0.000, 5.921, 0.000], [0.000, 0.000, 3.227]],
  "species": ["Ta", "Ta", "Ta", "Ta", "Cr", "Cr", "B", "B", "B", "B"],
  "frac_coords": [[0.181, 0.319, 0.000], [0.319, 0.819, 0.000], [0.681, 0.181, 0.000], [0.819, 0.681, 0.000], [0.000, 0.000, 0.500], [0.500, 0.500, 0.500], [0.111, 0.611, 0.500], [0.389, 0.111, 0.500], [0.611, 0.889, 0.500], [0.889, 0.389, 0.500]]
}